*a*
Below is a relaxed structure of Nb4Fe3Si5, with properties calculated at the GGA-PBE level.

a b c (Å): 4.9500 12.9371 15.5516
angles (deg): 90.00 90.00 90.00
Element x y z (fractional)
Nb  0.5000  0.3942  0.2927
Nb  0.0000  0.8942  0.7073
Nb  0.5000  0.4856  0.0980
Nb  0.0000  0.9856  0.9020
Nb  0.0000  0.1732  0.0198
Nb  0.5000  0.6732  0.9802
Nb  0.5000  0.3003  0.9916
Nb  0.0000  0.8003  0.0084
Nb  0.5000  0.1622  0.3056
Nb  0.0000  0.6622  0.6944
Nb  0.5000  0.3674  0.8110
Nb  0.0000  0.8674  0.1890
Nb  0.0000  0.4597  0.5399
Nb  0.5000  0.9597  0.4601
Nb  0.0000  0.1014  0.4196
Nb  0.5000  0.6014  0.5804
Nb  0.5000  0.3278  0.5965
Nb  0.0000  0.8278  0.4035
Nb  0.0000  0.0979  0.1957
Nb  0.5000  0.5979  0.8043
Nb  0.0000  0.4909  0.2095
Nb  0.5000  0.9909  0.7905
Nb  0.0000  0.2921  0.7109
Nb  0.5000  0.7921  0.2891
Fe  0.2501  0.1779  0.8532
Fe  0.7499  0.1779  0.8532
Fe  0.2499  0.6779  0.1468
Fe  0.7501  0.6779  0.1468
Fe  0.2506  0.3017  0.4285
Fe  0.7494  0.3017  0.4285
Fe  0.2494  0.8017  0.5715
Fe  0.7506  0.8017  0.5715
Fe  0.2469  0.0992  0.6110
Fe  0.7531  0.0992  0.6110
Fe  0.2531  0.5992  0.3890
Fe  0.7469  0.5992  0.3890
Fe  0.0000  0.4828  0.8171
Fe  0.5000  0.9828  0.1829
Fe  0.2532  0.2976  0.1646
Fe  0.7468  0.2976  0.1646
Fe  0.2468  0.7976  0.8354
Fe  0.7532  0.7976  0.8354
Si  0.0000  0.2687  0.2956
Si  0.5000  0.7687  0.7044
Si  0.0000  0.2454  0.5482
Si  0.5000  0.7454  0.4518
Si  0.0000  0.0882  0.7498
Si  0.5000  0.5882  0.2502
Si  0.2507  0.4755  0.6895
Si  0.7493  0.4755  0.6895
Si  0.2493  0.9755  0.3105
Si  0.7507  0.9755  0.3105
Si  0.5000  0.4563  0.4594
Si  0.0000  0.9563  0.5406
Si  0.5000  0.1893  0.7230
Si  0.0000  0.6893  0.2770
Si  0.5000  0.0895  0.9518
Si  0.0000  0.5895  0.0482
Si  0.5000  0.1534  0.1248
Si  0.0000  0.6534  0.8752
Si  0.5000  0.1627  0.4847
Si  0.0000  0.6627  0.5153
Si  0.0000  0.4407  0.3711
Si  0.5000  0.9407  0.6289
Si  0.0000  0.3213  0.8880
Si  0.5000  0.8213  0.1120
Si  0.0000  0.3800  0.0604
Si  0.5000  0.8800  0.9396
Si  0.2673  0.4867  0.9355
Si  0.7327  0.4867  0.9355
Si  0.2327  0.9867  0.0645
Si  0.7673  0.9867  0.0645

Values from the calculation:
Space group: Pmn2_1 (31)

=====

*b*
Below is a relaxed structure of Nb4Fe3Si5, with properties calculated at the GGA-PBE level.

a b c (Å): 4.9001 4.9001 7.6599
angles (deg): 90.00 90.00 119.38
Element x y z (fractional)
Nb  0.6683  0.3317  0.1860
Nb  0.3344  0.6656  0.3192
Nb  0.3344  0.6656  0.6808
Nb  0.6683  0.3317  0.8140
Fe  0.9977  0.0023  0.2545
Fe  0.9977  0.0023  0.7455
Fe  0.1698  0.8302  0.0000
Si  0.1673  0.3362  0.0000
Si  0.6638  0.8327  0.0000
Si  0.8307  0.1693  0.5000
Si  0.8324  0.6648  0.5000
Si  0.3352  0.1676  0.5000

Values from the calculation:
Space group: Amm2 (38)

=====

Stability ranking, top and bottom: *a* is the most stable and *b* is the least stable.

=====

*a*
Below is a relaxed structure of Fe6Ni9S20, with properties calculated at the GGA-PBE level.

a b c (Å): 6.5792 6.6764 27.2303
angles (deg): 96.33 90.21 119.37
Element x y z (fractional)
Fe  0.1237  0.1998  0.2270
Fe  0.4903  0.1994  0.1004
Fe  0.0100  0.1996  0.1001
Fe  0.4984  0.5984  0.3004
Fe  0.4895  0.2827  0.4044
Fe  0.4965  0.0010  0.4994
Fe  0.0050  0.0005  0.4997
Fe  0.5087  0.7132  0.5966
Fe  0.5017  0.4002  0.6998
Fe  0.4897  0.0849  0.8039
Fe  0.4872  0.8070  0.8969
Fe  0.0224  0.8068  0.8974
Ni  0.1250  0.8011  0.0251
Ni  0.4983  0.8978  0.2005
Ni  0.1240  0.5978  0.4241
Ni  0.5011  0.7021  0.1009
Ni  0.8735  0.5934  0.1752
Ni  0.9968  0.5967  0.3005
Ni  0.1266  0.0060  0.6258
Ni  0.4999  0.1002  0.3006
Ni  0.8729  0.9927  0.3747
Ni  0.1225  0.3962  0.8232
Ni  0.5011  0.5018  0.5002
Ni  0.8752  0.3981  0.5756
Ni  0.0000  0.4003  0.6997
Ni  0.4999  0.8995  0.6998
Ni  0.8746  0.7959  0.7739
Ni  0.5023  0.5035  0.9990
Ni  0.5039  0.3104  0.8998
Ni  0.8715  0.1934  0.9749
S  0.2566  0.5841  0.0525
S  0.2526  0.3011  0.1486
S  0.7227  0.5840  0.0525
S  0.2587  0.1193  0.0512
S  0.7431  0.2792  0.1474
S  0.2537  0.9919  0.2515
S  0.2734  0.8170  0.1480
S  0.7450  0.1009  0.0557
S  0.2602  0.7043  0.3443
S  0.7335  0.9844  0.2525
S  0.7485  0.8172  0.1484
S  0.2580  0.5095  0.2522
S  0.7293  0.6682  0.3500
S  0.2565  0.3856  0.4518
S  0.2762  0.2167  0.3499
S  0.7380  0.4926  0.2556
S  0.7261  0.3865  0.4520
S  0.2575  0.1055  0.5455
S  0.7360  0.2086  0.3506
S  0.2497  0.9046  0.4521
S  0.7486  0.0905  0.5471
S  0.2622  0.7889  0.6502
S  0.2741  0.6159  0.5481
S  0.7443  0.8987  0.4550
S  0.2613  0.5039  0.7439
S  0.7244  0.7827  0.6506
S  0.7460  0.6157  0.5485
S  0.2688  0.3293  0.6503
S  0.2608  0.1910  0.8512
S  0.7327  0.4727  0.7494
S  0.2767  0.0176  0.7489
S  0.2607  0.9131  0.9449
S  0.7392  0.2943  0.6551
S  0.7253  0.1917  0.8515
S  0.2505  0.7046  0.8496
S  0.7381  0.0114  0.7494
S  0.7455  0.8834  0.9449
S  0.2736  0.4228  0.9473
S  0.7477  0.7075  0.8545
S  0.7523  0.4224  0.9473

Values from the calculation:
Space group: P1 (1)

=====

*b*
Below is a relaxed structure of Fe6Ni9S20, with properties calculated at the GGA-PBE level.

a b c (Å): 6.5792 6.6764 27.2303
angles (deg): 96.33 90.21 119.37
Element x y z (fractional)
Fe  0.3507  0.4269  0.2270
Fe  0.5907  0.2998  0.1004
Fe  0.1101  0.2997  0.1001
Fe  0.7988  0.8988  0.3004
Fe  0.8939  0.6871  0.4044
Fe  0.9959  0.5005  0.4994
Fe  0.5047  0.5002  0.4997
Fe  0.1053  0.3098  0.5966
Fe  0.2015  0.1000  0.6998
Fe  0.2936  0.8889  0.8039
Fe  0.3840  0.7039  0.8969
Fe  0.9198  0.7042  0.8974
Ni  0.1501  0.8262  0.0251
Ni  0.6988  0.0983  0.2005
Ni  0.5481  0.0219  0.4241
Ni  0.6019  0.8030  0.1009
Ni  0.0486  0.7686  0.1752
Ni  0.2972  0.8972  0.3005
Ni  0.7524  0.6318  0.6258
Ni  0.8005  0.4008  0.3006
Ni  0.2476  0.3674  0.3747
Ni  0.9457  0.2194  0.8232
Ni  0.0013  0.0021  0.5002
Ni  0.4508  0.9738  0.5756
Ni  0.6997  0.1000  0.6997
Ni  0.1998  0.5993  0.6998
Ni  0.6485  0.5698  0.7739
Ni  0.5013  0.5025  0.9990
Ni  0.4038  0.2102  0.8998
Ni  0.8464  0.1683  0.9749
S  0.3091  0.6366  0.0525
S  0.4012  0.4497  0.1486
S  0.7752  0.6365  0.0525
S  0.3099  0.1705  0.0512
S  0.8906  0.4266  0.1474
S  0.5052  0.2434  0.2515
S  0.4215  0.9650  0.1480
S  0.8008  0.1567  0.0557
S  0.6045  0.0486  0.3443
S  0.9859  0.2369  0.2525
S  0.8968  0.9656  0.1484
S  0.5102  0.7617  0.2522
S  0.0794  0.0182  0.3500
S  0.7084  0.8375  0.4518
S  0.6261  0.5665  0.3499
S  0.9935  0.7482  0.2556
S  0.1781  0.8385  0.4520
S  0.8030  0.6510  0.5455
S  0.0866  0.5592  0.3506
S  0.7017  0.3566  0.4521
S  0.2957  0.6375  0.5471
S  0.9124  0.4392  0.6502
S  0.8222  0.1641  0.5481
S  0.1993  0.3537  0.4550
S  0.0052  0.2478  0.7439
S  0.3750  0.4333  0.6506
S  0.2945  0.1642  0.5485
S  0.9191  0.9796  0.6503
S  0.1120  0.0422  0.8512
S  0.4820  0.2221  0.7494
S  0.0256  0.7666  0.7489
S  0.2056  0.8580  0.9449
S  0.3944  0.9495  0.6551
S  0.5768  0.0432  0.8515
S  0.1000  0.5542  0.8496
S  0.4875  0.7608  0.7494
S  0.6904  0.8283  0.9449
S  0.2210  0.3701  0.9473
S  0.6023  0.5621  0.8545
S  0.6996  0.3697  0.9473

Values from the calculation:
Space group: P1 (1)

=====

*c*
Below is a relaxed structure of Fe6Ni9S20, with properties calculated at the GGA-PBE level.

a b c (Å): 6.6764 6.5792 32.9074
angles (deg): 60.24 60.64 60.63
Element x y z (fractional)
Fe  0.1191  0.1237  0.2270
Fe  0.4993  0.4903  0.1004
Fe  0.5001  0.0100  0.1001
Fe  0.5005  0.4984  0.3004
Fe  0.5040  0.4895  0.4044
Fe  0.5007  0.4965  0.4994
Fe  0.5005  0.0050  0.4997
Fe  0.4969  0.5087  0.5966
Fe  0.5004  0.5017  0.6998
Fe  0.5033  0.4897  0.8039
Fe  0.5023  0.4872  0.8969
Fe  0.5010  0.0224  0.8974
Ni  0.1236  0.1250  0.0251
Ni  0.5006  0.4983  0.2005
Ni  0.1299  0.1240  0.4241
Ni  0.9953  0.5011  0.1009
Ni  0.8811  0.8735  0.1752
Ni  0.5019  0.9968  0.3005
Ni  0.1166  0.1266  0.6258
Ni  0.9979  0.4999  0.3006
Ni  0.8833  0.8729  0.3747
Ni  0.1342  0.1225  0.8232
Ni  0.9974  0.5011  0.5002
Ni  0.8750  0.8752  0.5756
Ni  0.5005  0.0000  0.6997
Ni  0.0010  0.4999  0.6998
Ni  0.8824  0.8746  0.7739
Ni  0.4994  0.5023  0.9990
Ni  0.9901  0.5039  0.8998
Ni  0.8820  0.8715  0.9749
S  0.2583  0.2566  0.0525
S  0.2531  0.2526  0.1486
S  0.2586  0.7227  0.0525
S  0.7270  0.2587  0.0512
S  0.2785  0.7431  0.1474
S  0.2535  0.2537  0.2515
S  0.7389  0.2734  0.1480
S  0.7319  0.7450  0.0557
S  0.2627  0.2602  0.3443
S  0.2582  0.7335  0.2525
S  0.7377  0.7485  0.1484
S  0.7338  0.2580  0.2522
S  0.2817  0.7293  0.3500
S  0.2589  0.2565  0.4518
S  0.7337  0.2762  0.3499
S  0.7406  0.7380  0.2556
S  0.2574  0.7261  0.4520
S  0.2579  0.2575  0.5455
S  0.7396  0.7360  0.3506
S  0.7393  0.2497  0.4521
S  0.2683  0.7486  0.5471
S  0.2604  0.2622  0.6502
S  0.7397  0.2741  0.5481
S  0.7363  0.7443  0.4550
S  0.2643  0.2613  0.7439
S  0.2654  0.7244  0.6506
S  0.7388  0.7460  0.5485
S  0.7198  0.2688  0.6503
S  0.2554  0.2608  0.8512
S  0.2792  0.7327  0.7494
S  0.7355  0.2767  0.7489
S  0.2522  0.2607  0.9449
S  0.7403  0.7392  0.6551
S  0.2538  0.7253  0.8515
S  0.7467  0.2505  0.8496
S  0.7404  0.7381  0.7494
S  0.2819  0.7455  0.9449
S  0.7353  0.2736  0.9473
S  0.7289  0.7477  0.8545
S  0.7356  0.7523  0.9473

Values from the calculation:
Space group: P1 (1)

=====

Stability ranking, top and bottom: *c* is the most stable and *a* is the least stable.

=====

*a*
Below is a relaxed structure of FeNi2S4, with properties calculated at the GGA-PBE level.

a b c (Å): 6.6296 6.6296 6.6296
angles (deg): 120.34 119.76 89.92
Element x y z (fractional)
Fe  0.5000  0.5000  0.5000
Fe  0.5000  0.0000  0.0000
Ni  0.1236  0.3736  0.7500
Ni  0.0000  0.0000  0.0000
Ni  0.5000  0.0000  0.5000
Ni  0.8764  0.6264  0.2500
S  0.2608  0.7741  0.0133
S  0.2608  0.2474  0.4867
S  0.2657  0.2446  0.0211
S  0.7235  0.2446  0.4789
S  0.2765  0.7554  0.5211
S  0.7343  0.7554  0.9789
S  0.7392  0.7526  0.5133
S  0.7392  0.2259  0.9867

Values from the calculation:
Space group: Imma (74)

=====

*b*
Below is a relaxed structure of FeNi2S4, with properties calculated at the GGA-PBE level.

a b c (Å): 6.6341 6.6341 6.6341
angles (deg): 60.00 60.00 60.00
Element x y z (fractional)
Fe  0.7500  0.7500  0.7500
Fe  0.5000  0.5000  0.5000
Ni  0.1250  0.1250  0.1250
Ni  0.6250  0.1250  0.1250
Ni  0.1250  0.6250  0.1250
Ni  0.1250  0.1250  0.6250
S  0.8802  0.8802  0.8802
S  0.8905  0.3698  0.3698
S  0.3698  0.8905  0.3698
S  0.3698  0.3698  0.8905
S  0.8802  0.3595  0.8802
S  0.8802  0.8802  0.3595
S  0.3595  0.8802  0.8802
S  0.3698  0.3698  0.3698

Values from the calculation:
Space group: Fd-3m (227)

=====

Stability ranking, top and bottom: *a* is the most stable and *b* is the least stable.